1.
! SrCa7TiMn7O23, relaxed, DFT PBE+U; values from VASP
! - energy (eV per atom) = -7.09
! - crystal system = monoclinic
! - symmetry = Cm
! - corrected total energy (MP2020 scheme) (eV per atom) = -7.799
! - mass density (Mg/m³) = 4.33
! - energy of formation (meV per atom) = -2631
&SYSTEM
  ibrav = 0, nat = 39, ntyp = 5
/
ATOMIC_SPECIES
Sr 87.62 Sr.upf
Ca 40.08 Ca.upf
Ti 47.87 Ti.upf
Mn 54.94 Mn.upf
O 16.00 O.upf
ATOMIC_POSITIONS angstrom
Sr 0.000 0.000 0.000
Ca 2.555 2.521 0.003
Ca 2.664 2.593 3.849
Ca 2.555 -2.521 0.003
Ca 5.067 0.000 3.838
Ca 2.664 -2.593 3.849
Ca 5.263 0.000 7.647
Ca 10.755 0.000 3.851
Ti 7.903 0.000 2.108
Mn 2.614 0.000 1.923
Mn 2.610 0.000 5.735
Mn 5.314 2.703 1.908
Mn 5.319 2.690 5.744
Mn 7.968 0.000 5.693
Mn 5.319 -2.690 5.744
Mn 5.314 -2.703 1.908
O 4.863 2.879 7.647
O 2.361 0.000 3.826
O 3.983 1.346 2.118
O 3.979 1.341 5.540
O 6.686 4.037 1.748
O 6.681 4.040 5.892
O 2.847 0.000 0.002
O 5.722 2.497 3.826
O 3.983 -1.346 2.118
O 3.979 -1.341 5.540
O 6.710 1.358 1.452
O 6.704 1.361 6.250
O 7.382 0.000 3.789
O 4.863 -2.879 7.647
O 9.367 1.343 2.216
O 9.365 1.346 5.368
O 6.710 -1.358 1.452
O 6.704 -1.361 6.250
O 5.722 -2.497 3.826
O 9.367 -1.343 2.216
O 6.686 -4.037 1.748
O 6.681 -4.040 5.892
O 9.365 -1.346 5.368
CELL_PARAMETERS angstrom
5.401 -5.421 0.000
5.401 5.421 0.000
-0.014 0.000 7.650



2.
! SrCa3TiMn3O12, relaxed, DFT PBE+U; values from VASP
! - energy (eV per atom) = -7.17
! - crystal system = monoclinic
! - symmetry = Cm
! - corrected total energy (MP2020 scheme) (eV per atom) = -7.832
! - mass density (Mg/m³) = 4.51
! - energy of formation (meV per atom) = -2709
&SYSTEM
  ibrav = 0, nat = 40, ntyp = 5
/
ATOMIC_SPECIES
Sr 87.62 Sr.upf
Ca 40.08 Ca.upf
Ti 47.87 Ti.upf
Mn 54.94 Mn.upf
O 16.00 O.upf
ATOMIC_POSITIONS angstrom
Sr 7.648 1.927 0.000
Sr 7.648 -1.927 0.000
Ca -3.758 1.937 7.629
Ca -0.030 1.917 3.883
Ca 3.897 1.935 3.900
Ca -0.030 -1.917 3.883
Ca -3.758 -1.937 7.629
Ca 3.897 -1.935 3.900
Ti 1.956 0.000 1.955
Ti 9.599 0.000 1.957
Mn -1.902 0.000 1.938
Mn -5.707 0.000 5.752
Mn -1.903 0.000 5.756
Mn 5.744 0.000 1.939
Mn 1.941 0.000 5.749
Mn 5.747 0.000 5.740
O 1.933 1.925 1.923
O -1.916 0.000 3.841
O -3.810 0.000 5.738
O -5.694 0.000 7.630
O -0.020 0.000 1.947
O 1.963 1.925 5.691
O 5.716 1.925 1.954
O 5.694 0.000 0.014
O 0.018 0.000 5.698
O 1.931 0.000 3.861
O 3.863 0.000 1.935
O 5.721 1.925 5.719
O 1.933 -1.925 1.923
O 5.738 0.000 3.834
O 3.838 0.000 5.735
O 7.630 0.000 1.949
O 1.959 0.000 7.628
O 1.963 -1.925 5.691
O 5.716 -1.925 1.954
O 13.321 0.000 0.006
O 7.665 0.000 5.707
O 11.511 0.000 1.937
O 9.587 0.000 3.863
O 5.721 -1.925 5.719
CELL_PARAMETERS angstrom
7.648 -3.850 0.000
7.648 3.850 0.000
-7.642 0.000 7.659



3.
! SrCa7Ti2Mn6O21, relaxed, DFT PBE+U; values from VASP
! - energy (eV per atom) = -7.28
! - crystal system = triclinic
! - symmetry = P1
! - corrected total energy (MP2020 scheme) (eV per atom) = -7.937
! - mass density (Mg/m³) = 3.90
! - energy of formation (meV per atom) = -2791
&SYSTEM
  ibrav = 0, nat = 148, ntyp = 5
/
ATOMIC_SPECIES
Sr 87.62 Sr.upf
Ca 40.08 Ca.upf
Ti 47.87 Ti.upf
Mn 54.94 Mn.upf
O 16.00 O.upf
ATOMIC_POSITIONS angstrom
Sr 0.000 0.000 0.000
Sr 0.053 0.100 4.123
Sr 3.210 8.189 15.584
Sr 8.455 3.089 4.080
Ca 0.084 5.771 15.479
Ca 0.155 5.615 11.478
Ca 0.293 5.872 4.229
Ca 0.306 6.054 7.792
Ca 0.497 -0.011 7.780
Ca 0.594 -0.019 11.806
Ca 2.770 3.277 15.523
Ca 2.971 2.895 11.522
Ca 3.038 8.018 4.134
Ca 3.038 8.419 7.792
Ca 3.036 8.070 11.587
Ca 3.157 3.311 7.901
Ca 3.303 2.924 4.011
Ca 5.425 10.997 11.446
Ca 5.440 10.949 15.473
Ca 5.687 0.365 7.868
Ca 5.607 5.366 11.581
Ca 5.926 0.075 4.417
Ca 5.831 6.001 0.037
Ca 5.833 5.968 7.823
Ca 5.892 5.567 4.129
Ca 8.251 3.308 7.810
Ca 8.291 3.148 11.416
Ca 8.371 3.324 15.562
Ca 8.396 7.974 11.668
Ca 8.491 8.654 7.743
Ca 8.553 8.167 4.230
Ca 8.606 8.192 15.506
Ti 0.219 8.300 13.579
Ti 0.434 8.237 2.018
Ti 2.526 0.284 1.883
Ti 3.200 0.002 13.656
Ti 5.773 8.314 13.552
Ti 6.097 8.518 2.129
Ti 7.894 0.378 1.800
Ti 8.751 0.102 13.377
Mn 0.230 3.055 5.758
Mn 0.171 8.567 5.895
Mn 0.400 2.978 9.822
Mn 0.432 3.148 2.106
Mn 0.301 8.491 9.807
Mn 2.812 5.563 13.612
Mn 3.031 0.137 9.676
Mn 3.035 5.622 1.939
Mn 3.010 5.720 9.729
Mn 3.075 5.649 5.896
Mn 3.201 -0.032 5.809
Mn 5.466 2.903 13.637
Mn 5.741 2.926 9.713
Mn 5.792 2.926 5.927
Mn 5.681 8.489 9.739
Mn 5.846 3.135 1.944
Mn 5.767 8.486 5.908
Mn 8.414 0.273 9.755
Mn 8.345 5.602 13.615
Mn 8.497 5.769 9.704
Mn 8.678 0.235 6.213
Mn 8.578 5.769 5.958
Mn 8.644 5.765 1.978
Mn 10.940 2.887 13.489
O -0.094 8.571 7.903
O -0.040 8.491 0.055
O 0.397 8.456 3.878
O 0.572 2.350 11.684
O 0.607 8.658 11.779
O 0.857 2.565 3.962
O 0.860 10.239 2.007
O 1.159 4.254 14.032
O 1.068 10.281 9.783
O 1.300 4.609 1.376
O 1.257 10.199 5.850
O 1.388 4.615 9.409
O 1.289 10.399 13.929
O 1.610 1.756 1.152
O 1.536 4.316 6.295
O 1.722 1.790 9.105
O 1.738 7.261 13.871
O 1.810 7.185 6.041
O 1.902 7.282 9.505
O 2.051 7.460 1.888
O 2.489 5.697 11.674
O 2.659 5.602 3.874
O 2.936 0.558 11.957
O 3.184 0.497 3.569
O 3.063 10.871 7.708
O 3.385 5.615 15.627
O 3.375 10.698 0.621
O 3.481 5.718 7.835
O 3.855 4.007 13.376
O 3.996 3.855 1.950
O 3.962 9.640 10.129
O 4.122 4.098 9.998
O 4.197 1.435 14.401
O 4.269 4.134 5.648
O 4.152 9.711 13.494
O 4.213 9.568 5.425
O 4.518 1.344 5.800
O 4.578 1.276 9.851
O 4.568 6.848 10.164
O 4.601 6.879 5.521
O 4.632 6.935 13.421
O 4.818 7.193 2.176
O 5.307 8.338 7.833
O 5.447 2.878 7.812
O 5.735 8.556 15.584
O 5.956 2.807 3.938
O 5.990 2.857 11.689
O 6.096 10.534 2.102
O 6.110 8.666 11.753
O 6.298 8.706 3.977
O 6.691 4.323 14.235
O 6.695 10.143 9.587
O 6.926 4.532 9.497
O 6.777 10.792 13.593
O 6.974 4.790 1.720
O 6.856 10.212 6.300
O 7.066 1.819 0.918
O 7.027 4.539 6.084
O 7.380 1.895 9.476
O 7.452 1.780 6.140
O 7.366 7.322 6.168
O 7.350 7.413 9.493
O 7.383 7.350 13.772
O 7.729 7.798 1.896
O 8.012 5.665 11.670
O 8.284 5.798 3.947
O 8.748 0.682 3.353
O 8.611 10.528 0.618
O 8.830 5.722 15.610
O 8.963 0.673 11.657
O 8.984 5.635 7.845
O 9.137 10.925 8.192
O 9.366 4.030 13.383
O 9.633 1.463 14.338
O 9.533 9.785 5.612
O 9.738 3.689 1.937
O 9.637 9.722 13.458
O 9.842 3.951 9.948
O 9.880 4.312 5.668
O 10.071 7.083 10.138
O 10.119 7.030 5.739
O 10.162 6.929 13.318
O 10.359 1.469 6.146
O 10.378 6.767 2.155
CELL_PARAMETERS angstrom
11.089 0.000 0.000
-0.222 11.100 0.000
-0.065 -0.139 15.635



4.
! SrCa7TiMn7O20, relaxed, DFT PBE+U; values from VASP
! - energy (eV per atom) = -7.05
! - crystal system = monoclinic
! - symmetry = Cm
! - corrected total energy (MP2020 scheme) (eV per atom) = -7.758
! - mass density (Mg/m³) = 3.95
! - energy of formation (meV per atom) = -2571
&SYSTEM
  ibrav = 0, nat = 36, ntyp = 5
/
ATOMIC_SPECIES
Sr 87.62 Sr.upf
Ca 40.08 Ca.upf
Ti 47.87 Ti.upf
Mn 54.94 Mn.upf
O 16.00 O.upf
ATOMIC_POSITIONS angstrom
Sr 0.000 0.000 0.000
Ca 5.602 0.000 0.138
Ca 8.304 2.675 0.116
Ca 5.573 0.000 3.578
Ca 8.219 2.612 3.569
Ca 10.661 0.000 3.507
Ca 8.219 -2.612 3.569
Ca 8.304 -2.675 0.116
Ti 2.614 0.000 5.774
Mn 5.427 2.752 1.870
Mn 2.703 0.000 2.036
Mn 5.404 2.807 5.795
Mn 5.427 -2.752 1.870
Mn 8.044 0.000 5.732
Mn 8.174 0.000 1.878
Mn 5.404 -2.807 5.795
O 1.316 1.381 2.011
O 1.639 1.439 6.168
O 5.046 2.717 7.656
O 4.017 1.374 1.757
O 1.316 -1.381 2.011
O 5.339 2.659 3.857
O 1.639 -1.439 6.168
O 3.272 0.000 4.124
O 4.017 -1.374 1.757
O 6.639 1.296 6.068
O 6.862 1.361 1.725
O 5.046 -2.717 7.656
O 5.339 -2.659 3.857
O 6.639 -1.296 6.068
O 8.061 0.000 3.803
O 9.427 1.403 5.812
O 9.525 1.346 1.845
O 6.862 -1.361 1.725
O 9.525 -1.346 1.845
O 9.427 -1.403 5.812
CELL_PARAMETERS angstrom
5.506 -5.562 0.000
5.506 5.562 0.000
-0.211 0.000 7.701



- Which formula does entry 1 have?
  SrCa7TiMn7O23



- Number 3 is which compound?
  SrCa7Ti2Mn6O21



- Which of these has the lowest mass density?
  SrCa7Ti2Mn6O21